Material: EuCuW2O8
Method: DFT, PBE with a Hubbard U
State: relaxed

Cell and atoms, written as POSCAR:
```
EuCuW2O8
1.0
7.316 0.000 0.000
-0.136 7.445 0.000
-3.356 -3.341 6.152
Eu Cu W O
2 2 4 16
direct
0.189 0.279 0.464
0.811 0.721 0.536
0.227 0.671 0.955
0.773 0.329 0.045
0.269 0.298 0.039
0.351 0.893 0.708
0.649 0.107 0.292
0.731 0.702 0.961
0.043 0.310 0.088
0.145 0.993 0.802
0.179 0.636 0.550
0.202 0.370 0.820
0.295 0.987 0.518
0.384 0.169 0.251
0.454 0.538 0.262
0.477 0.823 0.003
0.523 0.177 0.997
0.546 0.462 0.738
0.616 0.831 0.749
0.705 0.013 0.482
0.798 0.630 0.180
0.821 0.364 0.450
0.855 0.007 0.198
0.957 0.690 0.912
```

Properties
Corrected total energy (MP2020 scheme): -8.90 eV/atom
Space group: P-1, No. 2
Spin magnetization: 7.00 μB per formula unit
ΔH_f (0 K): -2248.4 meV per atom

***

Material: Na2Cd2FeP3O12
Method: DFT, PBE with a Hubbard U
State: relaxed

Cell and atoms, written as POSCAR:
```
Na2Cd2FeP3O12
1.0
6.227 -6.465 0.000
6.227 6.465 0.000
-2.829 0.000 6.074
Na Cd Fe P O
4 4 2 6 24
direct
0.000 0.000 0.000
0.479 0.519 0.746
0.481 0.521 0.254
0.952 0.048 0.500
0.057 0.395 0.899
0.252 0.748 0.500
0.605 0.943 0.101
0.706 0.294 0.000
0.365 0.088 0.388
0.912 0.635 0.612
0.113 0.362 0.383
0.257 0.743 0.000
0.322 0.145 0.875
0.638 0.887 0.617
0.693 0.307 0.500
0.855 0.678 0.125
0.034 0.429 0.564
0.126 0.758 0.792
0.145 0.161 0.835
0.170 0.199 0.390
0.242 0.874 0.208
0.247 0.590 0.058
0.256 0.480 0.419
0.333 0.026 0.653
0.375 0.075 0.068
0.410 0.753 0.942
0.430 0.300 0.929
0.518 0.282 0.495
0.520 0.744 0.581
0.571 0.966 0.436
0.674 0.016 0.844
0.700 0.570 0.071
0.718 0.482 0.505
0.726 0.201 0.294
0.799 0.274 0.706
0.801 0.830 0.610
0.839 0.855 0.165
0.925 0.625 0.932
0.974 0.667 0.347
0.984 0.326 0.156
```

Properties
Corrected total energy (MP2020 scheme): -6.80 eV/atom
Space group: C2, No. 5
Spin magnetization: 5.00 μB per formula unit
ΔH_f (0 K): -2369.7 meV per atom

***

Material: Mn2O3F
Method: DFT, PBE with a Hubbard U
State: relaxed

Cell and atoms, written as POSCAR:
```
Mn2O3F
1.0
5.782 0.000 0.000
0.000 6.370 0.000
0.000 0.000 8.255
Mn O F
8 12 4
direct
0.000 0.000 0.000
0.000 0.500 0.000
0.219 0.250 0.248
0.281 0.750 0.748
0.500 0.000 0.500
0.500 0.500 0.500
0.719 0.250 0.252
0.781 0.750 0.752
0.029 0.548 0.766
0.029 0.952 0.766
0.198 0.250 0.017
0.302 0.750 0.517
0.471 0.048 0.266
0.471 0.452 0.266
0.529 0.548 0.734
0.529 0.952 0.734
0.698 0.250 0.483
0.802 0.750 0.983
0.971 0.048 0.234
0.971 0.452 0.234
0.219 0.250 0.484
0.281 0.750 0.984
0.719 0.250 0.016
0.781 0.750 0.516
```

Properties
Corrected total energy (MP2020 scheme): -7.88 eV/atom
Space group: Pnma, No. 62
Spin magnetization: 7.00 μB per formula unit
ΔH_f (0 K): -2029.3 meV per atom

***

Material: MgCr4O9
Method: DFT, PBE with a Hubbard U
State: relaxed

Cell and atoms, written as POSCAR:
```
MgCr4O9
1.0
8.327 0.000 0.000
0.000 8.327 0.000
0.000 0.000 4.890
Mg Cr O
2 8 18
direct
0.250 0.250 0.120
0.750 0.750 0.880
0.035 0.841 0.384
0.159 0.535 0.616
0.341 0.965 0.616
0.465 0.659 0.384
0.535 0.341 0.616
0.659 0.035 0.384
0.841 0.465 0.384
0.965 0.159 0.616
0.029 0.185 0.941
0.043 0.355 0.452
0.145 0.043 0.452
0.185 0.471 0.941
0.250 0.750 0.500
0.315 0.029 0.941
0.355 0.457 0.452
0.457 0.145 0.452
0.471 0.315 0.941
0.529 0.685 0.059
0.543 0.855 0.548
0.645 0.543 0.548
0.685 0.971 0.059
0.750 0.250 0.500
0.815 0.529 0.059
0.855 0.957 0.548
0.957 0.645 0.548
0.971 0.815 0.059
```

Properties
Corrected total energy (MP2020 scheme): -8.01 eV/atom
Space group: P4/n, No. 85
Spin magnetization: 8.00 μB per formula unit
ΔH_f (0 K): -1956.5 meV per atom